{"formula": "Na4AlZnP3O12", "functional": "GGA-PBE", "state": "relaxed", "formation_enthalpy_0k_ev_per_atom": -2.65, "energy_ev_per_atom": -6.345, "rho_kg_m3": 3174, "lattice_angstrom": [[8.8887, 0.0000, 0.0000], [-4.4444, 7.6979, 0.0000], [0.0000, 0.0000, 21.5284]], "species": ["O", "O", "O", "O", "O", "O", "O", "O", "O", "O", "O", "O", "O", "O", "O", "O", "O", "O", "O", "O", "O", "O", "O", "O", "O", "O", "O", "O", "O", "O", "O", "O", "O", "O", "O", "O", "O", "O", "O", "O", "O", "O", "O", "O", "O", "O", "O", "O", "O", "O", "O", "O", "O", "O", "O", "O", "O", "O", "O", "O", "O", "O", "O", "O", "O", "O", "O", "O", "O", "O", "O", "O", "Na", "Na", "Na", "Na", "Na", "Na", "Na", "Na", "Na", "Na", "Na", "Na", "Na", "Na", "Na", "Na", "Na", "Na", "Na", "Na", "Na", "Na", "Na", "Na", "P", "P", "P", "P", "P", "P", "P", "P", "P", "P", "P", "P", "P", "P", "P", "P", "P", "P", "Zn", "Zn", "Zn", "Zn", "Zn", "Zn", "Al", "Al", "Al", "Al", "Al", "Al"], "fractional_positions": [[0.5499, 0.6943, 0.9763], [0.1420, 0.4853, 0.5781], [0.8480, 0.3233, 0.2448], [0.1702, 0.2051, 0.6932], [0.8440, 0.8133, 0.5888], [0.5499, 0.8556, 0.4763], [0.5147, 0.6566, 0.5781], [0.3026, 0.4799, 0.7555], [0.1444, 0.4501, 0.9763], [0.5107, 0.3641, 0.4222], [0.0100, 0.1914, 0.9115], [0.6359, 0.1466, 0.4222], [0.8534, 0.4893, 0.4222], [0.2166, 0.1890, 0.8097], [0.1814, 0.9900, 0.9115], [0.1867, 0.0308, 0.5888], [0.8110, 0.0276, 0.8097], [0.3026, 0.8226, 0.2555], [0.5035, 0.6318, 0.8599], [0.3434, 0.8580, 0.5781], [0.8480, 0.5247, 0.7448], [0.4616, 0.2984, 0.0266], [0.9724, 0.7834, 0.8097], [0.3434, 0.4853, 0.0781], [0.4753, 0.1520, 0.2448], [0.9724, 0.1890, 0.3097], [0.5107, 0.1466, 0.9222], [0.9692, 0.1560, 0.5888], [0.9692, 0.8133, 0.0888], [0.8086, 0.8186, 0.9115], [0.4777, 0.1167, 0.6430], [0.0349, 0.2051, 0.1932], [0.5147, 0.8580, 0.0781], [0.5201, 0.8226, 0.7555], [0.8369, 0.2984, 0.5266], [0.8110, 0.7834, 0.3097], [0.2166, 0.0276, 0.3097], [0.6390, 0.1167, 0.1430], [0.8440, 0.0308, 0.0888], [0.7949, 0.9651, 0.6932], [0.3057, 0.4501, 0.4763], [0.1774, 0.4799, 0.2555], [0.5035, 0.8718, 0.3599], [0.4777, 0.3610, 0.1430], [0.0349, 0.8298, 0.6932], [0.1420, 0.6566, 0.0781], [0.8833, 0.5223, 0.1430], [0.0100, 0.8186, 0.4115], [0.8534, 0.3641, 0.9222], [0.7949, 0.8298, 0.1932], [0.4753, 0.3233, 0.7448], [0.1444, 0.6943, 0.4763], [0.6359, 0.4893, 0.9222], [0.1774, 0.6974, 0.7555], [0.7016, 0.5384, 0.5266], [0.4616, 0.1631, 0.5266], [0.8833, 0.3610, 0.6430], [0.1702, 0.9651, 0.1932], [0.6767, 0.5247, 0.2448], [0.8086, 0.9900, 0.4115], [0.6767, 0.1520, 0.7448], [0.3682, 0.8718, 0.8599], [0.8369, 0.5384, 0.0266], [0.1867, 0.1560, 0.0888], [0.7016, 0.1631, 0.0266], [0.6390, 0.5223, 0.6430], [0.1282, 0.4965, 0.8599], [0.3057, 0.8556, 0.9763], [0.5201, 0.6974, 0.2555], [0.3682, 0.4965, 0.3599], [0.1282, 0.6318, 0.3599], [0.1814, 0.1914, 0.4115], [0.9719, 0.6750, 0.9150], [0.3052, 0.9635, 0.0817], [0.3333, 0.6667, 0.6640], [0.6667, 0.3333, 0.3307], [0.3698, 0.0084, 0.7483], [0.3698, 0.3615, 0.2483], [0.0000, 0.0000, 0.4974], [0.6583, 0.6948, 0.0817], [0.6583, 0.9635, 0.5817], [0.6667, 0.3333, 0.8307], [0.6385, 0.6302, 0.7483], [0.7031, 0.6750, 0.4150], [0.9916, 0.6302, 0.2483], [0.7031, 0.0281, 0.9150], [0.3052, 0.3417, 0.5817], [0.0365, 0.6948, 0.5817], [0.3250, 0.2969, 0.9150], [0.0365, 0.3417, 0.0817], [0.3333, 0.6667, 0.1640], [0.3250, 0.0281, 0.4150], [0.0000, 0.0000, 0.9974], [0.6385, 0.0084, 0.2483], [0.9719, 0.2969, 0.4150], [0.9916, 0.3615, 0.7483], [0.0363, 0.3760, 0.9172], [0.0064, 0.7093, 0.7506], [0.3696, 0.3270, 0.0839], [0.6240, 0.6603, 0.9172], [0.9573, 0.3270, 0.5839], [0.6730, 0.6304, 0.5839], [0.2907, 0.2970, 0.7506], [0.3696, 0.0427, 0.5839], [0.3397, 0.3760, 0.4172], [0.0363, 0.6603, 0.4172], [0.6240, 0.9637, 0.4172], [0.7030, 0.9936, 0.7506], [0.2907, 0.9936, 0.2506], [0.9573, 0.6304, 0.0839], [0.0064, 0.2970, 0.2506], [0.6730, 0.0427, 0.0839], [0.7030, 0.7093, 0.2506], [0.3397, 0.9637, 0.9172], [0.0000, 0.0000, 0.3473], [0.3333, 0.6667, 0.5140], [0.0000, 0.0000, 0.8473], [0.6667, 0.3333, 0.6807], [0.3333, 0.6667, 0.0140], [0.6667, 0.3333, 0.1807], [0.0000, 0.0000, 0.1490], [0.3333, 0.6667, 0.3157], [0.6667, 0.3333, 0.4824], [0.3333, 0.6667, 0.8157], [0.6667, 0.3333, 0.9824], [0.0000, 0.0000, 0.6490]]}

***

{"formula": "Na3Zr3AlP6O24", "functional": "GGA-PBE", "state": "relaxed", "crystal_system": "triclinic", "formation_enthalpy_0k_ev_per_atom": -3.08, "energy_ev_per_atom": -7.618, "space_group": "P1 (1)", "rho_kg_m3": 3013, "lattice_angstrom": [[8.8223, 0.0000, 0.0000], [4.3995, 7.6644, 0.0000], [0.0024, 0.0024, 22.9734]], "species": ["Na", "Na", "Na", "Na", "Na", "Na", "Na", "Na", "Na", "Zr", "Zr", "Zr", "Zr", "Zr", "Zr", "Zr", "Zr", "Zr", "Al", "Al", "Al", "P", "P", "P", "P", "P", "P", "P", "P", "P", "P", "P", "P", "P", "P", "P", "P", "P", "P", "O", "O", "O", "O", "O", "O", "O", "O", "O", "O", "O", "O", "O", "O", "O", "O", "O", "O", "O", "O", "O", "O", "O", "O", "O", "O", "O", "O", "O", "O", "O", "O", "O", "O", "O", "O", "O", "O", "O", "O", "O", "O", "O", "O", "O", "O", "O", "O", "O", "O", "O", "O", "O", "O", "O", "O", "O", "O", "O", "O", "O", "O", "O", "O", "O", "O", "O", "O", "O", "O", "O", "O"], "fractional_positions": [[0.0000, 0.0000, 0.0000], [0.0004, 0.0093, 0.5043], [0.0288, 0.6702, 0.4200], [0.3013, 0.6689, 0.9196], [0.3352, 0.3222, 0.8374], [0.3435, 0.3228, 0.3376], [0.6668, 0.6762, 0.1694], [0.6678, 0.6659, 0.6737], [0.6955, 0.3370, 0.0860], [0.0013, 0.9982, 0.6537], [0.0073, 0.9921, 0.1531], [0.3327, 0.3264, 0.9846], [0.3332, 0.3313, 0.1932], [0.3337, 0.3332, 0.6964], [0.3403, 0.3258, 0.4863], [0.6655, 0.6649, 0.3178], [0.6666, 0.6646, 0.5239], [0.6704, 0.6656, 0.8192], [0.9999, 0.0057, 0.3564], [0.6691, 0.6723, 0.0204], [0.9933, 0.0072, 0.8576], [0.0015, 0.2797, 0.7600], [0.0032, 0.7146, 0.2601], [0.0303, 0.3449, 0.0876], [0.0429, 0.6236, 0.5885], [0.2824, 0.7173, 0.7608], [0.2828, 0.0013, 0.2596], [0.3353, 0.0400, 0.5899], [0.3437, 0.6255, 0.0858], [0.3634, 0.6777, 0.4202], [0.3754, 0.9485, 0.9234], [0.6253, 0.0286, 0.0874], [0.6265, 0.3328, 0.5901], [0.6768, 0.9597, 0.4194], [0.6811, 0.3704, 0.9246], [0.7184, 0.2797, 0.2580], [0.7186, 0.0005, 0.7599], [0.9497, 0.6784, 0.9241], [0.9595, 0.3618, 0.4201], [0.0066, 0.1823, 0.0946], [0.0241, 0.1666, 0.8129], [0.0242, 0.8032, 0.3147], [0.0249, 0.8052, 0.5937], [0.1192, 0.3676, 0.1425], [0.1325, 0.5102, 0.6421], [0.1395, 0.3532, 0.4275], [0.1389, 0.5154, 0.9304], [0.1492, 0.5415, 0.5321], [0.1508, 0.3089, 0.0349], [0.1660, 0.3002, 0.7539], [0.1677, 0.5316, 0.2527], [0.1696, 0.0222, 0.3125], [0.1716, 0.0216, 0.5940], [0.1727, 0.8052, 0.8153], [0.1793, 0.8372, 0.4119], [0.1800, 0.8062, 0.0937], [0.1935, 0.9639, 0.9155], [0.2020, 0.8222, 0.7044], [0.2044, 0.9749, 0.2030], [0.3014, 0.5334, 0.7540], [0.3024, 0.1657, 0.2530], [0.3097, 0.1512, 0.5348], [0.3117, 0.5417, 0.0318], [0.3400, 0.5147, 0.4273], [0.3543, 0.1328, 0.9297], [0.3598, 0.1275, 0.6438], [0.3739, 0.5064, 0.1400], [0.4510, 0.7013, 0.4750], [0.4663, 0.8298, 0.9766], [0.4670, 0.8389, 0.2634], [0.4681, 0.6934, 0.7639], [0.4837, 0.6419, 0.3678], [0.4878, 0.8694, 0.8688], [0.4991, 0.8587, 0.5829], [0.5098, 0.3577, 0.9306], [0.5110, 0.6378, 0.0780], [0.5132, 0.1168, 0.1426], [0.5130, 0.1407, 0.4266], [0.5144, 0.3574, 0.6440], [0.5332, 0.3004, 0.2522], [0.5345, 0.1647, 0.7538], [0.5401, 0.3081, 0.5350], [0.5414, 0.1541, 0.0352], [0.6391, 0.4913, 0.8712], [0.6441, 0.4969, 0.5834], [0.6447, 0.8493, 0.0770], [0.6446, 0.8715, 0.3672], [0.6960, 0.8381, 0.7635], [0.6965, 0.4643, 0.2632], [0.7006, 0.4594, 0.9801], [0.7090, 0.8427, 0.4740], [0.8052, 0.0199, 0.0948], [0.8080, 0.1697, 0.5941], [0.8101, 0.0222, 0.8128], [0.8117, 0.1654, 0.3107], [0.8188, 0.2052, 0.2003], [0.8220, 0.9748, 0.7030], [0.8371, 0.6975, 0.9775], [0.8405, 0.1886, 0.9144], [0.8396, 0.4646, 0.7639], [0.8404, 0.6927, 0.2635], [0.8438, 0.9725, 0.4114], [0.8472, 0.5043, 0.0785], [0.8478, 0.4490, 0.4752], [0.8601, 0.6422, 0.5828], [0.8734, 0.6417, 0.8694], [0.8753, 0.4872, 0.3683], [0.9760, 0.2023, 0.7030], [0.9773, 0.8219, 0.2043], [0.9776, 0.8372, 0.9157], [0.9791, 0.1817, 0.4109]]}

***

> Which formula does entry 1 have?

Na4AlZnP3O12